No. 1
## Zn3Cr6Fe4O24 (PBE+U)

Data for an optimized crystal structure of Zn3Cr6Fe4O24.

The calculation puts the density at 3.73 g cm⁻³. Its energy relative to the elements is -1660.5 meV/atom. The size of the total moment comes out at 0.595 μB/atom. As for the raw total energy: -6.440 eV per atom. The crystal system is triclinic.

```
Zn3Cr6Fe4O24
1.0
6.794 0.000 0.000
-1.539 8.096 0.000
-2.743 -3.190 9.031
Zn Cr Fe O
3 6 4 24
Cartesian
0.000 0.000 0.000
-0.129 5.377 2.600
2.641 -0.472 6.431
-2.561 2.232 7.570
-0.829 -1.177 6.931
1.396 0.613 3.366
1.116 4.293 5.665
3.341 6.083 2.100
5.074 2.674 1.461
-2.191 4.010 4.666
1.616 3.362 0.929
0.896 1.544 8.102
4.703 0.895 4.365
-2.033 -0.397 6.040
-2.179 2.411 5.844
-3.050 3.715 8.327
-0.226 3.811 1.401
-2.082 5.493 6.213
-1.368 -1.397 8.524
-0.007 0.785 4.183
1.280 -0.755 2.392
-1.089 1.442 8.397
-0.088 4.534 4.480
1.708 1.944 2.405
0.597 -0.263 6.911
1.915 5.169 2.120
0.804 2.961 6.626
2.601 0.371 4.551
3.602 3.464 0.634
1.233 5.661 6.639
2.520 4.121 4.848
3.881 6.302 0.507
4.594 -0.587 2.818
2.739 1.094 7.630
5.563 1.191 0.704
4.692 2.495 3.187
4.545 5.303 2.991
```

=====

No. 2
## Li3V2P4H2O16 (PBE+U)

Data for an optimized crystal structure of Li3V2P4H2O16.

The calculation puts the density at 2.92 g cm⁻³. Its energy relative to the elements is -2598.3 meV/atom. The size of the total moment comes out at 0.000 μB/atom. The calculation puts the offset from the most stable computed form at 0.000 eV/atom. As for the raw total energy: -6.936 eV per atom.

```
Li3V2P4H2O16
1.0
-3.976 -1.357 -2.439
4.718 -15.416 0.541
-2.034 -0.251 7.298
Li H O P V
6 4 32 8 4
Cartesian
-2.409 -1.886 -0.295
-1.210 -7.421 5.453
-2.842 -6.197 0.556
1.148 -15.126 5.723
-0.486 -13.904 0.826
-0.051 -9.592 -0.026
0.473 -12.425 2.848
-1.883 -4.717 2.577
-3.497 -9.346 5.118
-5.852 -1.638 4.846
-4.266 -2.632 2.715
-2.758 -5.425 2.407
3.513 -15.285 0.302
-4.807 -1.722 5.084
-3.055 -3.468 4.771
-0.385 -13.979 5.099
-0.864 -3.024 0.277
-0.710 -5.909 0.363
-0.699 -11.177 5.040
-1.043 -15.494 3.120
2.095 -9.227 2.512
1.467 -15.997 1.483
-0.319 -12.432 -0.610
1.645 -13.618 0.633
-0.958 -4.623 6.078
-2.676 -4.727 -0.881
1.399 -12.330 6.349
1.492 -10.731 0.548
-0.825 -3.984 2.666
3.000 -14.375 2.663
-0.262 -1.521 2.241
-0.389 -8.759 4.246
1.155 -7.577 0.032
-1.911 -10.340 2.985
-2.746 -1.049 3.975
-3.400 -7.788 2.850
1.532 -11.691 2.938
-0.402 -13.131 2.678
0.642 -6.668 2.393
-2.451 -9.431 5.356
-2.742 -6.272 4.828
-0.892 -8.287 1.210
-0.225 -2.956 1.711
0.071 -7.089 1.015
-3.427 -6.372 3.433
-1.345 -9.962 4.347
-1.070 -14.078 3.704
2.132 -10.662 1.981
-3.701 -2.255 4.076
2.429 -14.798 1.284
-1.008 -0.162 3.653
-0.457 -12.459 6.475
1.352 -7.871 3.925
-2.813 -4.753 6.203
```

=====

No. 3
## Fe2P3O10 (PBE+U)

Data for an optimized crystal structure of Fe2P3O10.

The calculation puts the density at 3.37 g cm⁻³. Its energy relative to the elements is -2386.1 meV/atom. The size of the total moment comes out at 0.600 μB/atom. As for the raw total energy: -7.138 eV per atom. The crystal system is monoclinic.

```
Fe2P3O10
1.0
4.743 0.000 0.000
0.000 8.513 0.000
-1.207 0.000 8.899
Fe P O
4 6 20
Cartesian
-0.208 0.616 2.904
-0.208 3.641 2.904
3.744 4.872 5.995
3.744 7.897 5.995
0.587 2.128 7.252
1.283 6.385 4.111
2.012 2.128 1.300
1.524 6.385 7.598
2.252 2.128 4.787
2.949 6.385 1.647
-0.157 0.847 7.047
-0.157 3.410 7.047
0.450 5.103 4.349
0.450 7.667 4.349
0.172 6.385 6.818
1.227 0.848 1.543
1.227 3.409 1.543
0.923 2.128 4.017
1.613 6.385 2.549
2.225 6.385 0.231
1.311 2.128 8.668
1.923 2.128 6.349
2.612 6.385 4.882
2.309 5.105 7.356
2.309 7.665 7.356
3.364 2.128 2.080
3.085 0.846 4.550
3.085 3.411 4.550
3.693 5.104 1.851
3.693 7.666 1.851
```

=====

No. 4
## Ca8Ti3Mn5O24 (PBE+U)

Data for an optimized crystal structure of Ca8Ti3Mn5O24.

The calculation puts the density at 4.21 g cm⁻³. Its energy relative to the elements is -2890.9 meV/atom. The size of the total moment comes out at 0.375 μB/atom. The calculation puts the offset from the most stable computed form at 0.000 eV/atom. As for the raw total energy: -7.377 eV per atom. The crystal system is monoclinic.

```
Ca8Ti3Mn5O24
1.0
10.708 0.000 0.000
0.000 15.229 0.000
-0.003 0.000 10.865
Ca Ti Mn O
32 12 20 96
Cartesian
10.704 0.000 10.862
10.702 0.000 5.379
0.000 7.615 0.000
0.006 7.615 5.380
0.079 3.796 4.908
0.079 11.434 4.908
0.094 3.812 10.389
0.094 11.418 10.389
2.683 3.810 2.190
2.683 11.420 2.190
2.693 3.803 7.671
2.693 11.427 7.671
2.777 0.000 2.659
2.768 7.615 8.148
2.785 0.000 8.147
2.783 7.615 2.661
5.356 0.000 10.857
5.355 7.615 10.865
5.363 7.615 5.379
5.376 0.000 5.414
5.459 3.795 4.910
5.462 3.790 10.377
5.459 11.435 4.910
5.462 11.439 10.377
8.023 3.784 7.659
8.023 11.445 7.659
8.028 3.805 2.196
8.028 11.425 2.196
8.100 0.000 8.133
8.120 7.615 8.150
8.136 0.000 2.702
8.132 7.615 2.661
0.040 1.904 7.893
0.040 13.325 7.893
0.049 5.708 7.898
0.049 9.521 7.898
2.731 1.907 5.156
2.727 5.710 5.154
2.727 9.520 5.154
2.731 13.322 5.156
5.411 5.701 7.896
5.411 9.529 7.896
8.078 5.700 5.151
8.078 9.530 5.151
0.052 1.914 2.436
0.052 13.315 2.436
0.069 5.709 2.434
0.069 9.521 2.434
2.741 1.911 10.605
2.743 5.715 10.617
2.743 9.515 10.617
2.741 13.318 10.605
5.391 1.884 7.904
5.391 13.345 7.904
5.422 5.706 2.434
5.422 9.524 2.434
5.424 1.895 2.453
5.424 13.334 2.453
8.077 1.883 5.177
8.077 13.346 5.177
8.079 1.893 10.618
8.079 13.337 10.618
8.096 5.712 10.619
8.096 9.517 10.619
0.442 0.000 7.786
0.445 7.615 7.785
0.475 0.000 2.347
0.488 7.615 2.337
1.150 2.213 0.854
1.148 5.400 0.854
1.148 9.830 0.854
1.150 13.017 0.854
1.162 5.402 6.310
1.162 9.827 6.310
1.173 2.212 6.316
1.173 13.018 6.316
1.591 2.204 3.570
1.590 5.410 3.564
1.590 9.820 3.564
1.591 13.026 3.570
1.625 2.200 9.044
1.629 5.419 9.050
1.629 9.810 9.050
1.625 13.029 9.044
2.301 7.615 10.493
2.305 0.000 10.490
2.325 7.615 5.069
2.333 0.000 5.084
3.126 3.807 5.263
3.126 11.423 5.263
3.160 3.808 10.717
3.160 11.421 10.717
3.824 6.021 1.333
3.824 9.208 1.333
3.828 1.594 1.325
3.828 13.635 1.325
3.840 6.012 6.746
3.840 9.217 6.746
3.856 1.600 6.763
3.856 13.630 6.763
4.267 6.002 9.484
4.267 9.227 9.484
4.302 1.582 9.483
4.305 1.607 4.001
4.306 6.004 4.003
4.306 9.226 4.003
4.305 13.623 4.001
4.302 13.647 9.483
4.983 3.804 2.562
4.983 11.426 2.562
5.007 3.770 7.982
5.007 11.460 7.982
5.798 7.615 7.788
5.838 0.000 2.332
5.829 0.000 7.779
5.840 7.615 2.335
6.501 2.212 6.301
6.501 5.399 0.852
6.501 9.831 0.852
6.501 13.017 6.301
6.507 2.213 0.865
6.514 5.412 6.309
6.514 9.817 6.309
6.507 13.017 0.865
6.945 5.415 3.565
6.945 9.814 3.565
6.975 2.211 9.018
6.982 2.220 3.581
6.984 5.424 9.047
6.984 9.805 9.047
6.982 13.009 3.581
6.975 13.019 9.018
7.648 0.000 5.047
7.649 0.000 10.495
7.654 7.615 10.495
7.682 7.615 5.066
8.469 3.771 5.266
8.469 11.458 5.266
8.510 3.803 10.713
8.510 11.426 10.713
9.181 1.591 1.330
9.180 1.595 6.728
9.180 6.022 1.334
9.180 9.207 1.334
9.180 13.634 6.728
9.181 13.639 1.330
9.191 6.010 6.735
9.191 9.219 6.735
9.612 1.603 9.478
9.612 13.627 9.478
9.621 6.012 9.489
9.621 9.217 9.489
9.660 1.594 4.042
9.661 5.996 4.006
9.661 9.233 4.006
9.660 13.635 4.042
10.331 3.807 2.556
10.331 11.422 2.556
10.356 3.807 7.986
10.356 11.422 7.986
```

=====

- The lowest size of the total moment belongs to which entry?
  Li3V2P4H2O16